#1
Below is a relaxed structure of Li3InBr6, with properties calculated at the PBE level.

Structure (CIF):
```
data_Li3InBr6
_symmetry_space_group_name_H-M 'P 1'
_symmetry_Int_Tables_number 1
_cell_length_a 6.938
_cell_length_b 6.938
_cell_length_c 12.715
_cell_angle_alpha 90.00
_cell_angle_beta 90.00
_cell_angle_gamma 120.00
loop_
_symmetry_equiv_pos_as_xyz
'x,y,z'
loop_
_atom_site_label
_atom_site_type_symbol
_atom_site_fract_x
_atom_site_fract_y
_atom_site_fract_z
Br1 Br 0.317 0.344 0.623
Br2 Br 0.344 0.317 0.123
Br3 Br 0.973 0.656 0.123
Br4 Br 0.683 0.656 0.377
Br5 Br 0.656 0.683 0.877
Br6 Br 0.656 0.973 0.623
Br7 Br 0.973 0.317 0.377
Br8 Br 0.683 0.027 0.123
Br9 Br 0.344 0.027 0.377
Br10 Br 0.317 0.973 0.877
Br11 Br 0.027 0.344 0.877
Br12 Br 0.027 0.683 0.623
In1 In 0.667 0.333 0.250
In2 In 0.333 0.667 0.750
Li1 Li 0.667 0.333 0.540
Li2 Li 0.333 0.667 0.460
Li3 Li 0.000 0.000 0.250
Li4 Li 0.667 0.333 0.960
Li5 Li 0.333 0.667 0.040
Li6 Li 0.000 0.000 0.750
```

Results
* V: 530 Å³ per cell
* total moment: 0.0 Bohr magnetons per cell


#2
Below is a relaxed structure of Li3InBr6, with properties calculated at the PBE level.

Structure (CIF):
```
data_Li3InBr6
_symmetry_space_group_name_H-M 'P 1'
_symmetry_Int_Tables_number 1
_cell_length_a 6.839
_cell_length_b 6.839
_cell_length_c 13.278
_cell_angle_alpha 84.85
_cell_angle_beta 84.85
_cell_angle_gamma 119.79
loop_
_symmetry_equiv_pos_as_xyz
'x,y,z'
loop_
_atom_site_label
_atom_site_type_symbol
_atom_site_fract_x
_atom_site_fract_y
_atom_site_fract_z
Br1 Br 0.949 0.778 0.119
Br2 Br 0.632 0.139 0.118
Br3 Br 0.051 0.222 0.881
Br4 Br 0.540 0.709 0.381
Br5 Br 0.368 0.861 0.882
Br6 Br 0.778 0.949 0.619
Br7 Br 0.460 0.291 0.619
Br8 Br 0.709 0.540 0.881
Br9 Br 0.222 0.051 0.381
Br10 Br 0.291 0.460 0.119
Br11 Br 0.139 0.632 0.618
Br12 Br 0.861 0.368 0.382
Li1 Li 0.407 0.593 0.750
Li2 Li 0.661 0.821 0.000
Li3 Li 0.593 0.407 0.250
Li4 Li 0.179 0.339 0.500
Li5 Li 0.821 0.661 0.500
Li6 Li 0.339 0.179 0.000
In1 In 0.500 0.000 0.500
In2 In 0.000 0.500 0.000
```

Results
* V: 530 Å³ per cell


Energies, relative to the best one, in eV/atom: #1 0.015; #2 0.000.


#1
Below is a relaxed structure of K2Nb3Br9, with properties calculated at the PBE level.

Structure (CIF):
```
data_K2Nb3Br9
_symmetry_space_group_name_H-M 'P 1'
_symmetry_Int_Tables_number 1
_cell_length_a 10.420
_cell_length_b 10.420
_cell_length_c 10.318
_cell_angle_alpha 77.54
_cell_angle_beta 77.54
_cell_angle_gamma 117.60
loop_
_symmetry_equiv_pos_as_xyz
'x,y,z'
loop_
_atom_site_label
_atom_site_type_symbol
_atom_site_fract_x
_atom_site_fract_y
_atom_site_fract_z
Br1 Br 0.816 0.816 0.174
Br2 Br 0.229 0.229 0.213
Br3 Br 0.394 0.999 0.820
Br4 Br 0.606 0.001 0.180
Br5 Br 0.585 0.381 0.813
Br6 Br 0.295 0.705 0.500
Br7 Br 0.771 0.771 0.787
Br8 Br 0.381 0.585 0.813
Br9 Br 0.619 0.415 0.187
Br10 Br 0.184 0.184 0.826
Br11 Br 0.999 0.394 0.820
Br12 Br 0.306 0.100 0.513
Br13 Br 0.415 0.619 0.187
Br14 Br 0.900 0.694 0.487
Br15 Br 0.001 0.606 0.180
Br16 Br 0.694 0.900 0.487
Br17 Br 0.100 0.306 0.513
Br18 Br 0.705 0.295 0.500
K1 K 0.051 0.729 0.832
K2 K 0.729 0.051 0.832
K3 K 0.271 0.949 0.168
K4 K 0.949 0.271 0.168
Nb1 Nb 0.711 0.544 0.367
Nb2 Nb 0.289 0.456 0.633
Nb3 Nb 0.456 0.289 0.633
Nb4 Nb 0.385 0.385 0.377
Nb5 Nb 0.615 0.615 0.623
Nb6 Nb 0.544 0.711 0.367
```

Results
* V: 903 Å³ per cell


#2
Below is a relaxed structure of K2Nb3Br9, with properties calculated at the PBE level.

Structure (CIF):
```
data_K2Nb3Br9
_symmetry_space_group_name_H-M 'P 1'
_symmetry_Int_Tables_number 1
_cell_length_a 10.420
_cell_length_b 10.420
_cell_length_c 10.318
_cell_angle_alpha 77.54
_cell_angle_beta 77.54
_cell_angle_gamma 117.60
loop_
_symmetry_equiv_pos_as_xyz
'x,y,z'
loop_
_atom_site_label
_atom_site_type_symbol
_atom_site_fract_x
_atom_site_fract_y
_atom_site_fract_z
Br1 Br 0.005 0.611 0.176
Br2 Br 0.585 0.376 0.814
Br3 Br 0.621 0.421 0.186
Br4 Br 0.290 0.705 0.499
Br5 Br 0.381 0.590 0.813
Br6 Br 0.612 0.005 0.176
Br7 Br 0.392 0.000 0.816
Br8 Br 0.410 0.615 0.191
Br9 Br 0.186 0.181 0.829
Br10 Br 0.102 0.312 0.509
Br11 Br 0.906 0.695 0.486
Br12 Br 0.995 0.389 0.824
Br13 Br 0.227 0.227 0.209
Br14 Br 0.695 0.898 0.492
Br15 Br 0.704 0.293 0.505
Br16 Br 0.769 0.774 0.784
Br17 Br 0.814 0.820 0.174
Br18 Br 0.305 0.103 0.510
K1 K 0.048 0.727 0.829
K2 K 0.732 0.055 0.828
K3 K 0.945 0.271 0.166
K4 K 0.272 0.946 0.171
Nb1 Nb 0.540 0.711 0.371
Nb2 Nb 0.451 0.283 0.635
Nb3 Nb 0.717 0.549 0.366
Nb4 Nb 0.384 0.388 0.379
Nb5 Nb 0.292 0.454 0.631
Nb6 Nb 0.612 0.610 0.626
```

Results
* V: 903 Å³ per cell
* total moment: 0.0 Bohr magnetons per cell


Energies, relative to the best one, in eV/atom: #1 0.000; #2 0.007.


#1
Below is a relaxed structure of K2SnBr6, with properties calculated at the PBE level.

Structure (CIF):
```
data_K2SnBr6
_symmetry_space_group_name_H-M 'P 1'
_symmetry_Int_Tables_number 1
_cell_length_a 7.647
_cell_length_b 7.647
_cell_length_c 7.647
_cell_angle_alpha 60.00
_cell_angle_beta 60.00
_cell_angle_gamma 60.00
loop_
_symmetry_equiv_pos_as_xyz
'x,y,z'
loop_
_atom_site_label
_atom_site_type_symbol
_atom_site_fract_x
_atom_site_fract_y
_atom_site_fract_z
Br1 Br 0.245 0.755 0.755
Br2 Br 0.245 0.755 0.245
Br3 Br 0.755 0.755 0.245
Br4 Br 0.755 0.245 0.755
Br5 Br 0.245 0.245 0.755
Br6 Br 0.755 0.245 0.245
Sn1 Sn 0.000 0.000 0.000
K1 K 0.750 0.750 0.750
K2 K 0.250 0.250 0.250
```

Results
* V: 316 Å³ per cell


#2
Below is a relaxed structure of K2SnBr6, with properties calculated at the PBE level.

Structure (CIF):
```
data_K2SnBr6
_symmetry_space_group_name_H-M 'P 1'
_symmetry_Int_Tables_number 1
_cell_length_a 7.480
_cell_length_b 7.480
_cell_length_c 11.322
_cell_angle_alpha 90.00
_cell_angle_beta 90.00
_cell_angle_gamma 90.00
loop_
_symmetry_equiv_pos_as_xyz
'x,y,z'
loop_
_atom_site_label
_atom_site_type_symbol
_atom_site_fract_x
_atom_site_fract_y
_atom_site_fract_z
Sn1 Sn 0.500 0.500 0.500
Sn2 Sn 0.000 0.000 0.000
Br1 Br 0.189 0.700 0.000
Br2 Br 0.700 0.811 0.000
Br3 Br 0.689 0.800 0.500
Br4 Br 0.811 0.300 0.000
Br5 Br 0.800 0.311 0.500
Br6 Br 0.000 0.000 0.237
Br7 Br 0.200 0.689 0.500
Br8 Br 0.000 0.000 0.763
Br9 Br 0.300 0.189 0.000
Br10 Br 0.500 0.500 0.737
Br11 Br 0.500 0.500 0.263
Br12 Br 0.311 0.200 0.500
K1 K 0.500 0.000 0.250
K2 K 0.000 0.500 0.750
K3 K 0.000 0.500 0.250
K4 K 0.500 0.000 0.750
```

Results
* V: 633 Å³ per cell


#3
Below is a relaxed structure of K2SnBr6, with properties calculated at the PBE level.

Structure (CIF):
```
data_K2SnBr6
_symmetry_space_group_name_H-M 'P 1'
_symmetry_Int_Tables_number 1
_cell_length_a 7.681
_cell_length_b 7.646
_cell_length_c 13.287
_cell_angle_alpha 55.03
_cell_angle_beta 90.00
_cell_angle_gamma 90.00
loop_
_symmetry_equiv_pos_as_xyz
'x,y,z'
loop_
_atom_site_label
_atom_site_type_symbol
_atom_site_fract_x
_atom_site_fract_y
_atom_site_fract_z
Br1 Br 0.297 0.307 0.472
Br2 Br 0.780 0.225 0.476
Br3 Br 0.996 0.811 0.241
Br4 Br 0.720 0.225 0.976
Br5 Br 0.280 0.775 0.024
Br6 Br 0.703 0.693 0.528
Br7 Br 0.797 0.693 0.028
Br8 Br 0.004 0.189 0.759
Br9 Br 0.220 0.775 0.524
Br10 Br 0.496 0.189 0.259
Br11 Br 0.203 0.307 0.972
Br12 Br 0.504 0.811 0.741
Sn1 Sn 0.500 0.000 0.500
Sn2 Sn 0.000 0.000 0.000
K1 K 0.538 0.743 0.251
K2 K 0.038 0.257 0.249
K3 K 0.962 0.743 0.751
K4 K 0.462 0.257 0.749
```

Results
* V: 639 Å³ per cell


Energies, relative to the best one, in eV/atom: #1 0.014; #2 0.005; #3 0.000.


#1
Below is a relaxed structure of Li2MgBr4, with properties calculated at the PBE level.

Structure (CIF):
```
data_Li2MgBr4
_symmetry_space_group_name_H-M 'P 1'
_symmetry_Int_Tables_number 1
_cell_length_a 3.891
_cell_length_b 6.816
_cell_length_c 6.816
_cell_angle_alpha 109.58
_cell_angle_beta 90.00
_cell_angle_gamma 90.00
loop_
_symmetry_equiv_pos_as_xyz
'x,y,z'
loop_
_atom_site_label
_atom_site_type_symbol
_atom_site_fract_x
_atom_site_fract_y
_atom_site_fract_z
Mg1 Mg 0.000 0.000 0.000
Li1 Li 0.500 0.000 0.500
Li2 Li 0.500 0.500 0.000
Br1 Br 0.500 0.762 0.762
Br2 Br 0.500 0.238 0.238
Br3 Br 0.000 0.241 0.759
Br4 Br 0.000 0.759 0.241
```

Results
* V: 170 Å³ per cell


#2
Below is a relaxed structure of Li2MgBr4, with properties calculated at the PBE level.

Structure (CIF):
```
data_Li2MgBr4
_symmetry_space_group_name_H-M 'P 1'
_symmetry_Int_Tables_number 1
_cell_length_a 7.740
_cell_length_b 7.740
_cell_length_c 7.740
_cell_angle_alpha 118.24
_cell_angle_beta 118.07
_cell_angle_gamma 93.23
loop_
_symmetry_equiv_pos_as_xyz
'x,y,z'
loop_
_atom_site_label
_atom_site_type_symbol
_atom_site_fract_x
_atom_site_fract_y
_atom_site_fract_z
Br1 Br 0.246 0.738 0.992
Br2 Br 0.260 0.746 0.514
Br3 Br 0.732 0.746 0.986
Br4 Br 0.268 0.254 0.014
Br5 Br 0.754 0.262 0.008
Br6 Br 0.246 0.254 0.508
Br7 Br 0.740 0.254 0.486
Br8 Br 0.754 0.746 0.492
Li1 Li 0.000 0.000 0.000
Li2 Li 0.500 0.000 0.000
Li3 Li 0.500 0.500 0.500
Li4 Li 0.500 0.000 0.500
Mg1 Mg 0.500 0.500 0.000
Mg2 Mg 0.000 0.500 0.500
```

Results
* V: 336 Å³ per cell
* total moment: 0.0 Bohr magnetons per cell


Energies, relative to the best one, in eV/atom: #1 0.000; #2 0.054.


#1
Below is a relaxed structure of Li6Br3N, with properties calculated at the PBE level.

Structure (CIF):
```
data_Li6Br3N
_symmetry_space_group_name_H-M 'P 1'
_symmetry_Int_Tables_number 1
_cell_length_a 6.384
_cell_length_b 6.272
_cell_length_c 10.983
_cell_angle_alpha 55.52
_cell_angle_beta 90.00
_cell_angle_gamma 90.00
loop_
_symmetry_equiv_pos_as_xyz
'x,y,z'
loop_
_atom_site_label
_atom_site_type_symbol
_atom_site_fract_x
_atom_site_fract_y
_atom_site_fract_z
Br1 Br 0.518 0.751 0.257
Br2 Br 0.982 0.751 0.757
Br3 Br 0.000 0.500 0.500
Br4 Br 0.018 0.249 0.243
Br5 Br 0.482 0.249 0.743
Br6 Br 0.500 0.500 0.000
Li1 Li 0.236 0.093 0.074
Li2 Li 0.062 0.298 0.800
Li3 Li 0.671 0.216 0.535
Li4 Li 0.938 0.702 0.200
Li5 Li 0.329 0.784 0.465
Li6 Li 0.829 0.216 0.035
Li7 Li 0.264 0.093 0.574
Li8 Li 0.562 0.702 0.700
Li9 Li 0.764 0.907 0.926
Li10 Li 0.438 0.298 0.300
Li11 Li 0.736 0.907 0.426
Li12 Li 0.171 0.784 0.965
N1 N 0.500 0.000 0.500
N2 N 0.000 0.000 0.000
```

Results
* V: 363 Å³ per cell


#2
Below is a relaxed structure of Li6Br3N, with properties calculated at the PBE level.

Structure (CIF):
```
data_Li6Br3N
_symmetry_space_group_name_H-M 'P 1'
_symmetry_Int_Tables_number 1
_cell_length_a 6.330
_cell_length_b 6.330
_cell_length_c 6.389
_cell_angle_alpha 60.26
_cell_angle_beta 60.26
_cell_angle_gamma 89.75
loop_
_symmetry_equiv_pos_as_xyz
'x,y,z'
loop_
_atom_site_label
_atom_site_type_symbol
_atom_site_fract_x
_atom_site_fract_y
_atom_site_fract_z
Li1 Li 0.139 0.139 0.127
Li2 Li 0.816 0.247 0.934
Li3 Li 0.888 0.888 0.818
Li4 Li 0.247 0.816 0.934
Li5 Li 0.741 0.741 0.366
Li6 Li 0.296 0.296 0.569
Br1 Br 0.501 0.501 0.997
Br2 Br 0.750 0.251 0.499
Br3 Br 0.251 0.750 0.499
N1 N 0.014 0.014 0.972
```

Results
* V: 183 Å³ per cell
* total moment: 0.0 Bohr magnetons per cell
* maximum piezoelectric response: 0.9 C/m²


#3
Below is a relaxed structure of Li6Br3N, with properties calculated at the PBE level.

Structure (CIF):
```
data_Li6Br3N
_symmetry_space_group_name_H-M 'P 1'
_symmetry_Int_Tables_number 1
_cell_length_a 14.027
_cell_length_b 14.027
_cell_length_c 14.027
_cell_angle_alpha 131.49
_cell_angle_beta 131.10
_cell_angle_gamma 71.35
loop_
_symmetry_equiv_pos_as_xyz
'x,y,z'
loop_
_atom_site_label
_atom_site_type_symbol
_atom_site_fract_x
_atom_site_fract_y
_atom_site_fract_z
Br1 Br 0.887 0.137 0.750
Br2 Br 0.270 0.750 0.020
Br3 Br 0.750 0.221 0.471
Br4 Br 0.136 0.386 0.750
Br5 Br 0.250 0.279 0.029
Br6 Br 0.636 0.886 0.750
Br7 Br 0.730 0.250 0.980
Br8 Br 0.138 0.395 0.279
Br9 Br 0.362 0.641 0.257
Br10 Br 0.116 0.895 0.757
Br11 Br 0.384 0.141 0.779
Br12 Br 0.230 0.250 0.480
Br13 Br 0.884 0.105 0.243
Br14 Br 0.862 0.605 0.721
Br15 Br 0.638 0.359 0.743
Br16 Br 0.113 0.863 0.250
Br17 Br 0.750 0.721 0.971
Br18 Br 0.616 0.859 0.221
Br19 Br 0.250 0.779 0.529
Br20 Br 0.364 0.114 0.250
Br21 Br 0.387 0.637 0.750
Br22 Br 0.770 0.750 0.520
Br23 Br 0.613 0.363 0.250
Br24 Br 0.864 0.614 0.250
Li1 Li 0.121 0.166 0.179
Li2 Li 0.513 0.059 0.679
Li3 Li 0.049 0.376 0.038
Li4 Li 0.836 0.508 0.460
Li5 Li 0.664 0.125 0.673
Li6 Li 0.579 0.855 0.993
Li7 Li 0.487 0.941 0.321
Li8 Li 0.951 0.624 0.962
Li9 Li 0.952 0.992 0.827
Li10 Li 0.013 0.334 0.454
Li11 Li 0.986 0.160 0.531
Li12 Li 0.837 0.011 0.462
Li13 Li 0.014 0.840 0.469
Li14 Li 0.871 0.545 0.031
Li15 Li 0.861 0.355 0.776
Li16 Li 0.048 0.008 0.173
Li17 Li 0.352 0.358 0.780
Li18 Li 0.451 0.489 0.326
Li19 Li 0.921 0.915 0.276
Li20 Li 0.337 0.876 0.826
Li21 Li 0.079 0.085 0.724
Li22 Li 0.922 0.428 0.280
Li23 Li 0.549 0.511 0.674
Li24 Li 0.639 0.415 0.493
Li25 Li 0.371 0.340 0.325
Li26 Li 0.379 0.559 0.046
Li27 Li 0.629 0.660 0.675
Li28 Li 0.148 0.928 0.006
Li29 Li 0.648 0.642 0.220
Li30 Li 0.578 0.858 0.506
Li31 Li 0.879 0.834 0.821
Li32 Li 0.621 0.441 0.954
Li33 Li 0.164 0.492 0.540
Li34 Li 0.422 0.142 0.494
Li35 Li 0.987 0.666 0.546
Li36 Li 0.548 0.375 0.040
Li37 Li 0.361 0.585 0.507
Li38 Li 0.452 0.625 0.960
Li39 Li 0.852 0.072 0.994
Li40 Li 0.421 0.145 0.007
Li41 Li 0.163 0.989 0.538
Li42 Li 0.129 0.455 0.969
Li43 Li 0.336 0.875 0.327
Li44 Li 0.139 0.645 0.224
Li45 Li 0.486 0.955 0.825
Li46 Li 0.663 0.124 0.174
Li47 Li 0.078 0.572 0.720
Li48 Li 0.514 0.045 0.175
N1 N 0.000 0.000 0.500
N2 N 0.500 0.500 0.000
N3 N 0.500 0.000 0.500
N4 N 0.500 0.500 0.500
N5 N 0.000 0.500 0.500
N6 N 0.500 0.000 0.000
N7 N 0.000 0.000 0.000
N8 N 0.000 0.500 0.000
```

Results
* V: 1525 Å³ per cell


#4
Below is a relaxed structure of Li6Br3N, with properties calculated at the PBE level.

Structure (CIF):
```
data_Li6Br3N
_symmetry_space_group_name_H-M 'P 1'
_symmetry_Int_Tables_number 1
_cell_length_a 6.396
_cell_length_b 6.396
_cell_length_c 6.396
_cell_angle_alpha 60.00
_cell_angle_beta 60.00
_cell_angle_gamma 60.00
loop_
_symmetry_equiv_pos_as_xyz
'x,y,z'
loop_
_atom_site_label
_atom_site_type_symbol
_atom_site_fract_x
_atom_site_fract_y
_atom_site_fract_z
Li1 Li 0.288 0.288 0.712
Li2 Li 0.712 0.712 0.288
Li3 Li 0.712 0.288 0.288
Li4 Li 0.712 0.288 0.712
Li5 Li 0.288 0.712 0.288
Li6 Li 0.288 0.712 0.712
N1 N 0.500 0.500 0.500
Br1 Br 0.000 0.000 0.000
Br2 Br 0.250 0.250 0.250
Br3 Br 0.750 0.750 0.750
```

Results
* V: 185 Å³ per cell
* total moment: 0.0 Bohr magnetons per cell


Energies, relative to the best one, in eV/atom: #1 0.007; #2 0.018; #3 0.000; #4 0.047.